(1)
First-principles (r2SCAN) data for a relaxed structure of HfSe2Cl12, as listed in the Materials Project.

The total DFT energy (no corrections) is -1291.5 eV for the cell shown. For the total moment, the calculation gives 0.0 μB/cell. The calculation puts the formation enthalpy at 0 K at -89.0 kJ/mol of atoms.

It has space group Fdd2 (No. 43), with a = 11.987 Å, b = 12.937 Å, c = 21.916 Å, α = 90.00°, β = 90.00° and γ = 90.00°. The distinct sites, in fractional coordinates, are Hf at (0.000, 0.000, 0.000), Se at (0.006, 0.224, 0.582), Cl at (0.108, 0.172, 0.506), Cl at (0.111, 0.164, 0.655), Cl at (0.114, 0.418, 0.580), Cl at (0.116, 0.400, 0.078), Cl at (0.119, 0.155, 0.001) and Cl at (0.121, 0.423, 0.423).

=====

(2)
First-principles (r2SCAN) data for a relaxed structure of HfTe4Cl6, as listed in the Materials Project.

The total DFT energy (no corrections) is -195.7 eV for the cell shown. For the total moment, the calculation gives 0.0 μB/cell. The calculation puts the formation enthalpy at 0 K at -104.6 kJ/mol of atoms.

It has space group P-1 (No. 2), with a = 6.966 Å, b = 7.023 Å, c = 7.877 Å, α = 74.22°, β = 75.28° and γ = 83.10°. The distinct sites, in fractional coordinates, are Hf at (0.000, 0.000, 0.000), Te at (0.284, 0.685, 0.453), Te at (0.500, 0.409, 0.293), Cl at (0.118, 0.655, 0.117), Cl at (0.224, 0.010, 0.700) and Cl at (0.256, 0.122, 0.094).